## NaSe2 (PBE-GGA)

Data for NaSe2 after structural relaxation.

Unit cell a=10.2962 b=10.2962 c=12.4095 alpha=90.00 beta=90.00 gamma=90.00
With the nearest neighbours (Å) after each atom.
Space group I-42d (No. 122)
Symmetry-distinct sites (fractional):
Na: 0.0000 0.0000 0.1896  6 Se 2.97-3.27
Na: 0.2473 0.2500 0.6250  6 Se 2.96-3.24
Se: 0.0189 0.2283 0.9563  1 Se 2.41
Se: 0.1212 0.6393 0.6541  2 Se 2.39-2.41

Results
Uncorrected energy: -3.340 eV/atom
Maximum piezoelectric response: 0.0 C/m²
Formation energy from the elements: -883 meV/atom